VASP calculation (PBE-GGA) on crystalline Er2C at its relaxed geometry. Values from VASP.

Cell and atoms, written as Quantum ESPRESSO input:
```
&SYSTEM
  ibrav = 0, nat = 3, ntyp = 2
/
ATOMIC_SPECIES
Er 167.26 Er.upf
C 12.01 C.upf
CELL_PARAMETERS angstrom
-0.658 0.492 6.321
-3.855 -0.443 5.057
-1.328 -2.913 5.512
ATOMIC_POSITIONS crystal
Er 0.240 0.240 0.240
Er 0.760 0.760 0.760
C 0.500 0.500 0.500
```

Results
formation enthalpy at 0 K: -0.319 eV per atom
final energy: -19.32 eV per cell